Compound: SrPr3
Source: the Materials Project
Functional: GGA-PBE
Structure: optimized geometry

Unit cell a=5.3627 b=5.3627 c=5.3627 alpha=90.00 beta=90.00 gamma=90.00
Space group Pm-3m (No. 221)
Unique sites:
Sr1 0.0000 0.0000 0.0000 x1
Pr1 0.0000 0.5000 0.5000 x3

Output
crystal system	cubic
calculated total energy	-15.52	eV per cell
formation energy	0.129	eV per atom